Record 1
Computed, not measured: crystalline WO3 at its relaxed geometry at the PBE+U level of DFT.

```
data_WO3
_chemical_formula_sum 'W2 O6'
_cell_length_a 5.4403
_cell_length_b 5.4403
_cell_length_c 3.9081
_cell_angle_alpha 90.00
_cell_angle_beta 90.00
_cell_angle_gamma 90.00
_space_group_name_H-M_alt 'P 4/n m m'
_space_group_IT_number 129
loop_
_space_group_symop_operation_xyz
'x,y,z'
'-x,-y,-z'
'-y+1/2,x,z'
'y+1/2,-x,-z'
'-x+1/2,-y+1/2,z'
'x+1/2,y+1/2,-z'
'y,-x+1/2,z'
'-y,x+1/2,-z'
'x+1/2,-y,-z'
'-x+1/2,y,z'
'-y,-x,-z'
'y,x,z'
'-x,y+1/2,-z'
'x,-y+1/2,z'
'y+1/2,x+1/2,-z'
'-y+1/2,-x+1/2,z'
loop_
_atom_site_label
_atom_site_fract_x
_atom_site_fract_y
_atom_site_fract_z
W1 0.2500 0.2500 0.0387
O1 0.0000 0.0000 0.0000
O2 0.2500 0.2500 0.5089
```

---

Record 2
Computed, not measured: crystalline WO3 at its relaxed geometry at the PBE+U level of DFT.

```
data_WO3
_chemical_formula_sum 'W8 O24'
_cell_length_a 7.6021
_cell_length_b 7.7471
_cell_length_c 7.7001
_cell_angle_alpha 90.00
_cell_angle_beta 90.00
_cell_angle_gamma 90.00
_space_group_name_H-M_alt 'P b c n'
_space_group_IT_number 60
loop_
_space_group_symop_operation_xyz
'x,y,z'
'-x,-y,-z'
'-x+1/2,-y+1/2,z+1/2'
'x+1/2,y+1/2,-z+1/2'
'x+1/2,-y+1/2,-z'
'-x+1/2,y+1/2,z'
'-x,y,-z+1/2'
'x,-y,z+1/2'
loop_
_atom_site_label
_atom_site_fract_x
_atom_site_fract_y
_atom_site_fract_z
W1 0.2490 0.2337 0.0177
O1 0.9996 0.2254 0.5289
O2 0.2207 0.2471 0.2576
O3 0.2248 0.4962 0.0097
```

---

Record 3
# W17O47 PBE+U relaxed
# relative energy among the computed polymorphs	0.859	eV per atom
data_W17O47
_chemical_formula_sum 'W17 O47'
_cell_length_a 3.8516
_cell_length_b 13.2800
_cell_length_c 20.7717
_cell_angle_alpha 103.48
_cell_angle_beta 93.78
_cell_angle_gamma 91.82
_space_group_name_H-M_alt 'P 1'
_space_group_IT_number 1
loop_
_space_group_symop_operation_xyz
'x,y,z'
loop_
_atom_site_label
_atom_site_fract_x
_atom_site_fract_y
_atom_site_fract_z
W1 0.0000 0.0000 0.0000
W2 0.0022 0.7652 0.1051
W3 0.0209 0.6056 0.2388
W4 0.0923 0.9505 0.2960
W5 0.1378 0.1950 0.3611
W6 0.1890 0.6819 0.4290
W7 0.7237 0.8930 0.4694
W8 0.7994 0.4350 0.6053
W9 0.8573 0.7022 0.6499
W10 0.8825 0.5233 0.7798
W11 0.9221 0.9406 0.6702
W12 0.9310 0.7815 0.8155
W13 0.9361 0.0711 0.8531
W14 0.9425 0.5578 0.9338
W15 0.9503 0.2816 0.9730
W16 0.9839 0.4977 0.0839
W17 0.9868 0.0112 0.1542
O1 0.0037 0.6509 0.1566
O2 0.0194 0.0942 0.0860
O3 0.0195 0.2642 0.2337
O4 0.0452 0.8795 0.1909
O5 0.0581 0.6271 0.3313
O6 0.0784 0.0681 0.2569
O7 0.0778 0.2431 0.7346
O8 0.0856 0.5486 0.4504
O9 0.1184 0.2967 0.2972
O10 0.1252 0.0591 0.3823
O11 0.1807 0.2850 0.4360
O12 0.2065 0.8562 0.4390
O13 0.3073 0.4444 0.6187
O14 0.3634 0.6934 0.6525
O15 0.3825 0.5285 0.7798
O16 0.4164 0.9404 0.6652
O17 0.4314 0.7855 0.8192
O18 0.4428 0.5651 0.9349
O19 0.4494 0.2798 0.9668
O20 0.4800 0.9772 0.9897
O21 0.5017 0.7648 0.1030
O22 0.5158 0.0228 0.1597
O23 0.5274 0.6333 0.2431
O24 0.5909 0.9124 0.3030
O25 0.6289 0.1870 0.3451
O26 0.6928 0.7347 0.4449
O27 0.7626 0.3242 0.5419
O28 0.7822 0.2167 0.7088
O29 0.7970 0.0044 0.5420
O30 0.8104 0.5632 0.5806
O31 0.8202 0.4817 0.4353
O32 0.8369 0.4234 0.6998
O33 0.8766 0.8050 0.5945
O34 0.8875 0.6468 0.7399
O35 0.8962 0.4502 0.8464
O36 0.9046 0.2139 0.8695
O37 0.9127 0.8328 0.7261
O38 0.9158 0.0428 0.6089
O39 0.9285 0.6519 0.8647
O40 0.9514 0.1205 0.9598
O41 0.9540 0.0366 0.7582
O42 0.9561 0.9337 0.8809
O43 0.9590 0.4406 0.9808
O44 0.9721 0.6300 0.0330
O45 0.9893 0.3436 0.0686
O46 0.9927 0.4739 0.1922
O47 0.9958 0.8978 0.0661

---

Record 4
# WO3 PBE+U relaxed
# maximum piezoelectric response	11.87	C/m²
data_WO3
_chemical_formula_sum 'W6 O18'
_cell_length_a 7.5094
_cell_length_b 7.5094
_cell_length_c 7.7441
_cell_angle_alpha 90.00
_cell_angle_beta 90.00
_cell_angle_gamma 120.00
_space_group_name_H-M_alt 'P 63 c m'
_space_group_IT_number 185
_space_group_name_Hall 'P 6c -2'
loop_
_atom_site_label
_atom_site_fract_x
_atom_site_fract_y
_atom_site_fract_z
W1 0.0000 0.4853 0.0000
O1 0.0000 0.4987 0.2404
O2 0.2105 0.4262 0.4884

---

Record 5
Computed, not measured: crystalline WO2 at its relaxed geometry at the PBE+U level of DFT.

```
data_WO2
_chemical_formula_sum 'W12 O24'
_cell_length_a 6.4831
_cell_length_b 6.5186
_cell_length_c 15.4930
_cell_angle_alpha 90.69
_cell_angle_beta 90.19
_cell_angle_gamma 119.51
_space_group_name_H-M_alt 'P 1'
_space_group_IT_number 1
loop_
_space_group_symop_operation_xyz
'x,y,z'
loop_
_atom_site_label
_atom_site_fract_x
_atom_site_fract_y
_atom_site_fract_z
W1 0.0000 0.0000 0.0000
W2 0.0014 0.4978 0.4958
W3 0.1560 0.3242 0.6656
W4 0.1593 0.8224 0.6651
W5 0.3210 0.1622 0.8315
W6 0.3437 0.6684 0.3273
W7 0.4921 0.9995 0.0066
W8 0.4961 0.4945 0.0004
W9 0.6666 0.3268 0.6693
W10 0.8206 0.1547 0.3293
W11 0.8249 0.6802 0.3294
W12 0.9993 0.4981 0.1210
O1 0.0223 0.5095 0.7320
O2 0.0462 0.0169 0.7496
O3 0.1274 0.7700 0.3972
O4 0.1381 0.3697 0.4018
O5 0.1837 0.8953 0.9201
O6 0.1881 0.3037 0.9223
O7 0.2740 0.6246 0.5850
O8 0.3146 0.1509 0.6079
O9 0.3161 0.1803 0.0678
O10 0.3243 0.6518 0.0717
O11 0.4515 0.0111 0.7504
O12 0.4523 0.4317 0.7546
O13 0.5101 0.9742 0.2674
O14 0.5283 0.5208 0.2702
O15 0.5984 0.3048 0.9238
O16 0.6663 0.8233 0.9484
O17 0.6725 0.8322 0.3986
O18 0.7300 0.3735 0.4030
O19 0.8415 0.6599 0.0662
O20 0.8428 0.1707 0.0721
O21 0.8645 0.6347 0.5866
O22 0.8706 0.2211 0.5871
O23 0.9730 0.9829 0.2716
O24 0.9903 0.4996 0.2512
```

---

Record 6
# W2O5 PBE+U relaxed
# relative energy among the computed polymorphs	0.184	eV per atom
data_W2O5
_chemical_formula_sum 'W8 O20'
_cell_length_a 3.8690
_cell_length_b 11.6818
_cell_length_c 12.0662
_cell_angle_alpha 90.00
_cell_angle_beta 90.00
_cell_angle_gamma 90.00
_space_group_name_H-M_alt 'C m c m'
_space_group_IT_number 63
_space_group_name_Hall '-C 2c 2'
loop_
_atom_site_label
_atom_site_fract_x
_atom_site_fract_y
_atom_site_fract_z
W1 0.0000 0.1988 0.0997
O1 0.0000 0.0512 0.1113
O2 0.0000 0.2509 0.5680
O3 0.0000 0.2626 0.2500

---

Record 7
Computed, not measured: crystalline W5O7 at its relaxed geometry at the PBE+U level of DFT.

```
data_W5O7
_chemical_formula_sum 'W20 O28'
_cell_length_a 3.3697
_cell_length_b 11.3987
_cell_length_c 18.6899
_cell_angle_alpha 90.00
_cell_angle_beta 90.00
_cell_angle_gamma 90.00
_space_group_name_H-M_alt 'C m c m'
_space_group_IT_number 63
_space_group_name_Hall '-C 2c 2'
loop_
_atom_site_label
_atom_site_fract_x
_atom_site_fract_y
_atom_site_fract_z
W1 0.0000 0.0000 0.0000
W2 0.0000 0.2715 0.0781
W3 0.0000 0.4612 0.6581
O1 0.0000 0.1034 0.6007
O2 0.0000 0.1467 0.1622
O3 0.0000 0.3418 0.5386
O4 0.0000 0.4490 0.2500
```

---

Energy of formation from the pure elements values, unit eV/atom, following the record order: -2.185; -2.183; -1.289; -2.181; -1.724; -1.864; -0.927.